# 1
{
  "formula": "Cu3P4S3Br3",
  "functional": "PBE",
  "state": "relaxed",
  "energy_ev_per_atom": -4.205,
  "energy_corrected_mp2020_ev_per_cell": -231.1,
  "lattice": [[18.8868, 0.0000, 0.0000], [0.0000, 9.9368, 0.0000], [0.0000, 0.0000, 6.6580]],
  "species": ["Cu", "Cu", "Cu", "Cu", "Cu", "Cu", "Cu", "Cu", "Cu", "Cu", "Cu", "Cu", "P", "P", "P", "P", "P", "P", "P", "P", "P", "P", "P", "P", "P", "P", "P", "P", "S", "S", "S", "S", "S", "S", "S", "S", "S", "S", "S", "S", "Br", "Br", "Br", "Br", "Br", "Br", "Br", "Br", "Br", "Br", "Br", "Br"],
  "fractional_positions": [[0.1334, 0.2500, 0.0001], [0.1832, 0.0190, 0.4913], [0.1832, 0.4810, 0.4913], [0.3168, 0.5190, 0.9913], [0.3168, 0.9810, 0.9913], [0.3666, 0.7500, 0.5001], [0.6334, 0.2500, 0.4999], [0.6832, 0.0190, 0.0087], [0.6832, 0.4810, 0.0087], [0.8168, 0.5190, 0.5087], [0.8168, 0.9810, 0.5087], [0.8666, 0.7500, 0.9999], [0.0220, 0.2500, 0.9030], [0.1137, 0.6344, 0.3487], [0.1137, 0.8656, 0.3487], [0.1520, 0.7500, 0.0777], [0.3480, 0.2500, 0.5777], [0.3863, 0.1344, 0.8487], [0.3863, 0.3656, 0.8487], [0.4780, 0.7500, 0.4030], [0.5220, 0.2500, 0.5970], [0.6137, 0.6344, 0.1513], [0.6137, 0.8656, 0.1513], [0.6520, 0.7500, 0.4223], [0.8480, 0.2500, 0.9223], [0.8863, 0.1344, 0.6513], [0.8863, 0.3656, 0.6513], [0.9780, 0.7500, 0.0970], [0.0080, 0.5860, 0.2819], [0.0080, 0.9140, 0.2819], [0.0632, 0.7500, 0.8881], [0.4368, 0.2500, 0.3881], [0.4920, 0.0860, 0.7819], [0.4920, 0.4140, 0.7819], [0.5080, 0.5860, 0.2181], [0.5080, 0.9140, 0.2181], [0.5632, 0.7500, 0.6119], [0.9368, 0.2500, 0.1119], [0.9920, 0.0860, 0.7181], [0.9920, 0.4140, 0.7181], [0.1495, 0.2500, 0.3671], [0.1956, 0.0471, 0.8598], [0.1956, 0.4529, 0.8598], [0.3044, 0.5471, 0.3598], [0.3044, 0.9529, 0.3598], [0.3505, 0.7500, 0.8671], [0.6495, 0.2500, 0.1329], [0.6956, 0.0471, 0.6402], [0.6956, 0.4529, 0.6402], [0.8044, 0.5471, 0.1402], [0.8044, 0.9529, 0.1402], [0.8505, 0.7500, 0.6329]]
}


# 2
{
  "formula": "Cu2P8Se3Br2",
  "functional": "PBE",
  "state": "relaxed",
  "energy_ev_per_atom": -4.527,
  "energy_corrected_mp2020_ev_per_cell": -275.9,
  "lattice": [[8.9548, 0.0000, 0.0000], [0.0000, 12.2463, 0.0000], [0.0000, 0.0000, 13.9485]],
  "species": ["Cu", "Cu", "Cu", "Cu", "Cu", "Cu", "Cu", "Cu", "P", "P", "P", "P", "P", "P", "P", "P", "P", "P", "P", "P", "P", "P", "P", "P", "P", "P", "P", "P", "P", "P", "P", "P", "P", "P", "P", "P", "P", "P", "P", "P", "Se", "Se", "Se", "Se", "Se", "Se", "Se", "Se", "Se", "Se", "Se", "Se", "Br", "Br", "Br", "Br", "Br", "Br", "Br", "Br"],
  "fractional_positions": [[0.0114, 0.1270, 0.2500], [0.0114, 0.3730, 0.7500], [0.2060, 0.0750, 0.7500], [0.2060, 0.4250, 0.2500], [0.7940, 0.5750, 0.7500], [0.7940, 0.9250, 0.2500], [0.9886, 0.6270, 0.2500], [0.9886, 0.8730, 0.7500], [0.0900, 0.1953, 0.1090], [0.0900, 0.1953, 0.3910], [0.0900, 0.3047, 0.6090], [0.0900, 0.3047, 0.8910], [0.2017, 0.0674, 0.0225], [0.2017, 0.0674, 0.4775], [0.2017, 0.4326, 0.5225], [0.2017, 0.4326, 0.9775], [0.2530, 0.1624, 0.6118], [0.2530, 0.1624, 0.8882], [0.2530, 0.3376, 0.1118], [0.2530, 0.3376, 0.3882], [0.4736, 0.2418, 0.5791], [0.4736, 0.2418, 0.9209], [0.4736, 0.2582, 0.0791], [0.4736, 0.2582, 0.4209], [0.5264, 0.7418, 0.5791], [0.5264, 0.7418, 0.9209], [0.5264, 0.7582, 0.0791], [0.5264, 0.7582, 0.4209], [0.7470, 0.6624, 0.6118], [0.7470, 0.6624, 0.8882], [0.7470, 0.8376, 0.1118], [0.7470, 0.8376, 0.3882], [0.7983, 0.5674, 0.0225], [0.7983, 0.5674, 0.4775], [0.7983, 0.9326, 0.5225], [0.7983, 0.9326, 0.9775], [0.9100, 0.6953, 0.1090], [0.9100, 0.6953, 0.3910], [0.9100, 0.8047, 0.6090], [0.9100, 0.8047, 0.8910], [0.0852, 0.7500, 0.0000], [0.0852, 0.7500, 0.5000], [0.4197, 0.0791, 0.1097], [0.4197, 0.0791, 0.3903], [0.4197, 0.4209, 0.6097], [0.4197, 0.4209, 0.8903], [0.5803, 0.5791, 0.1097], [0.5803, 0.5791, 0.3903], [0.5803, 0.9209, 0.6097], [0.5803, 0.9209, 0.8903], [0.9148, 0.2500, 0.0000], [0.9148, 0.2500, 0.5000], [0.0787, 0.5714, 0.7500], [0.0787, 0.9286, 0.2500], [0.2675, 0.6221, 0.2500], [0.2675, 0.8779, 0.7500], [0.7325, 0.1221, 0.2500], [0.7325, 0.3779, 0.7500], [0.9213, 0.0714, 0.7500], [0.9213, 0.4286, 0.2500]]
}


# 3
{
  "formula": "RbCu2Br3",
  "functional": "PBE",
  "state": "relaxed",
  "energy_ev_per_atom": -3.129,
  "energy_corrected_mp2020_ev_per_cell": -40.8,
  "lattice": [[5.1553, -6.4907, 0.0000], [5.1553, 6.4907, 0.0000], [0.0000, 0.0000, 5.2479]],
  "species": ["Rb", "Rb", "Cu", "Cu", "Cu", "Cu", "Br", "Br", "Br", "Br", "Br", "Br"],
  "fractional_positions": [[0.1916, 0.8084, 0.7500], [0.8084, 0.1916, 0.2500], [0.3334, 0.3334, 0.0000], [0.3334, 0.3334, 0.5000], [0.6666, 0.6666, 0.0000], [0.6666, 0.6666, 0.5000], [0.0865, 0.3389, 0.7500], [0.3389, 0.0865, 0.2500], [0.3898, 0.6102, 0.2500], [0.6102, 0.3898, 0.7500], [0.6611, 0.9135, 0.7500], [0.9135, 0.6611, 0.2500]]
}


# 4
{
  "formula": "RbCuBr3",
  "functional": "PBE",
  "state": "relaxed",
  "energy_ev_per_atom": -2.879,
  "energy_corrected_mp2020_ev_per_cell": -16.0,
  "lattice": [[5.1866, 0.0000, 0.0000], [0.0000, 5.1866, 0.0000], [0.0000, 0.0000, 5.1866]],
  "species": ["Rb", "Cu", "Br", "Br", "Br"],
  "fractional_positions": [[0.0000, 0.0000, 0.0000], [0.5000, 0.5000, 0.5000], [0.0000, 0.5000, 0.5000], [0.5000, 0.0000, 0.5000], [0.5000, 0.5000, 0.0000]]
}


# 5
{
  "formula": "Rb2CuBr3",
  "functional": "PBE",
  "state": "relaxed",
  "energy_ev_per_atom": -3.095,
  "energy_corrected_mp2020_ev_per_cell": -80.7,
  "lattice": [[13.3308, 0.0000, 0.0000], [0.0000, 4.4611, 0.0000], [0.0000, 0.0000, 13.8225]],
  "species": ["Rb", "Rb", "Rb", "Rb", "Rb", "Rb", "Rb", "Rb", "Cu", "Cu", "Cu", "Cu", "Br", "Br", "Br", "Br", "Br", "Br", "Br", "Br", "Br", "Br", "Br", "Br"],
  "fractional_positions": [[0.0127, 0.2500, 0.1757], [0.1737, 0.2500, 0.5238], [0.3263, 0.7500, 0.0238], [0.4873, 0.7500, 0.6757], [0.5127, 0.2500, 0.3243], [0.6737, 0.2500, 0.9762], [0.8263, 0.7500, 0.4762], [0.9873, 0.7500, 0.8243], [0.2446, 0.7500, 0.3105], [0.2554, 0.2500, 0.8105], [0.7446, 0.7500, 0.1895], [0.7554, 0.2500, 0.6895], [0.0662, 0.7500, 0.3605], [0.1376, 0.2500, 0.9476], [0.2267, 0.7500, 0.7203], [0.2733, 0.2500, 0.2203], [0.3624, 0.7500, 0.4476], [0.4338, 0.2500, 0.8605], [0.5662, 0.7500, 0.1395], [0.6377, 0.2500, 0.5524], [0.7267, 0.7500, 0.7797], [0.7733, 0.2500, 0.2797], [0.8624, 0.7500, 0.0524], [0.9338, 0.2500, 0.6395]]
}


# 6
{
  "formula": "Rb2CuSbBr6",
  "functional": "PBE",
  "state": "relaxed",
  "energy_ev_per_atom": -3.010,
  "energy_corrected_mp2020_ev_per_cell": -33.3,
  "lattice": [[0.0000, 5.4875, 5.4875], [5.4875, 0.0000, 5.4875], [5.4875, 5.4875, 0.0000]],
  "species": ["Rb", "Rb", "Cu", "Sb", "Br", "Br", "Br", "Br", "Br", "Br"],
  "fractional_positions": [[0.2500, 0.2500, 0.2500], [0.7500, 0.7500, 0.7500], [0.0000, 0.0000, 0.0000], [0.5000, 0.5000, 0.5000], [0.2418, 0.2418, 0.7582], [0.2418, 0.7582, 0.2418], [0.2418, 0.7582, 0.7582], [0.7582, 0.2418, 0.2418], [0.7582, 0.2418, 0.7582], [0.7582, 0.7582, 0.2418]]
}


# 7
{
  "formula": "Rb2TaCuBr6",
  "functional": "PBE",
  "state": "relaxed",
  "energy_ev_per_atom": -3.726,
  "energy_corrected_mp2020_ev_per_cell": -40.5,
  "lattice": [[0.0000, 5.3445, 5.3445], [5.3445, 0.0000, 5.3445], [5.3445, 5.3445, 0.0000]],
  "species": ["Rb", "Rb", "Ta", "Cu", "Br", "Br", "Br", "Br", "Br", "Br"],
  "fractional_positions": [[0.2500, 0.2500, 0.2500], [0.7500, 0.7500, 0.7500], [0.0000, 0.0000, 0.0000], [0.5000, 0.5000, 0.5000], [0.2476, 0.2476, 0.7524], [0.2476, 0.7524, 0.2476], [0.2476, 0.7524, 0.7524], [0.7524, 0.2476, 0.2476], [0.7524, 0.2476, 0.7524], [0.7524, 0.7524, 0.2476]]
}


# 8
{
  "formula": "Rb2YCuBr6",
  "functional": "PBE",
  "state": "relaxed",
  "energy_ev_per_atom": -3.728,
  "energy_corrected_mp2020_ev_per_cell": -40.5,
  "lattice": [[0.0000, 5.5008, 5.5008], [5.5008, 0.0000, 5.5008], [5.5008, 5.5008, 0.0000]],
  "species": ["Rb", "Rb", "Y", "Cu", "Br", "Br", "Br", "Br", "Br", "Br"],
  "fractional_positions": [[0.2500, 0.2500, 0.2500], [0.7500, 0.7500, 0.7500], [0.0000, 0.0000, 0.0000], [0.5000, 0.5000, 0.5000], [0.2548, 0.2548, 0.7452], [0.2548, 0.7452, 0.2548], [0.2548, 0.7452, 0.7452], [0.7452, 0.2548, 0.2548], [0.7452, 0.2548, 0.7452], [0.7452, 0.7452, 0.2548]]
}